# 1
Material: Li6MnV3P6O24
Method: DFT, GGA+U
State: optimized geometry

Cell: 8.6968 8.7050 15.0209 Å, 90.00 124.44 90.00°
Space group Pc (No. 7)
Asymmetric unit:
Li1 0.0000 0.0244 0.0000 [2 per cell]
Li2 0.2930 0.0485 0.9201 [2 per cell]
Li3 0.3491 0.3455 0.4801 [2 per cell]
Li4 0.5832 0.1580 0.8748 [2 per cell]
Li5 0.6429 0.4549 0.4346 [2 per cell]
Li6 0.9360 0.4746 0.3557 [2 per cell]
Mn1 0.6090 0.2147 0.0727 [2 per cell]
V1 0.1031 0.2928 0.5664 [2 per cell]
V2 0.3290 0.2818 0.2870 [2 per cell]
V3 0.8329 0.2090 0.7894 [2 per cell]
P1 0.0158 0.1513 0.3302 [2 per cell]
P2 0.2168 0.3613 0.8211 [2 per cell]
P3 0.4232 0.0019 0.6717 [2 per cell]
P4 0.5145 0.4996 0.1836 [2 per cell]
P5 0.7149 0.1375 0.5314 [2 per cell]
P6 0.9218 0.3472 0.0293 [2 per cell]
O1 0.0005 0.0121 0.8668 [2 per cell]
O2 0.0612 0.2738 0.4189 [2 per cell]
O3 0.0630 0.3442 0.8429 [2 per cell]
O4 0.0948 0.2984 0.1358 [2 per cell]
O5 0.1350 0.3412 0.7009 [2 per cell]
O6 0.1973 0.1439 0.3325 [2 per cell]
O7 0.2319 0.0840 0.6081 [2 per cell]
O8 0.2960 0.4715 0.3573 [2 per cell]
O9 0.3537 0.3862 0.6118 [2 per cell]
O10 0.3716 0.2399 0.8863 [2 per cell]
O11 0.4272 0.1098 0.2521 [2 per cell]
O12 0.4387 0.0755 0.0836 [2 per cell]
O13 0.4971 0.4232 0.2707 [2 per cell]
O14 0.5024 0.3873 0.1000 [2 per cell]
O15 0.5568 0.2568 0.4600 [2 per cell]
O16 0.5845 0.1150 0.7437 [2 per cell]
O17 0.6377 0.0309 0.9980 [2 per cell]
O18 0.7059 0.4191 0.7463 [2 per cell]
O19 0.7394 0.3551 0.0269 [2 per cell]
O20 0.7894 0.1645 0.6497 [2 per cell]
O21 0.8438 0.2030 0.2250 [2 per cell]
O22 0.8707 0.1544 0.5117 [2 per cell]
O23 0.8784 0.2260 0.9404 [2 per cell]
O24 0.9352 0.4897 0.4909 [2 per cell]

Values from the calculation:
As for the raw total energy: -7.08 eV/atom. The calculation puts the energy above the most stable polymorph in this dataset at 0.00 eV/f.u. The calculation puts the formation energy at -2.686 eV per atom.

---

# 2
Material: Li6MnV3P6O24
Method: DFT, GGA+U
State: optimized geometry

Cell: 8.8011 8.8024 14.4941 Å, 73.66 73.70 60.63°
Space group P1 (No. 1)
Asymmetric unit:
Li1 0.0000 0.0000 0.0000 [1 per cell]
Li2 0.0125 0.6465 0.1114 [1 per cell]
Li3 0.0297 0.2869 0.2251 [1 per cell]
Li4 0.1213 0.3807 0.7502 [1 per cell]
Li5 0.2678 0.8929 0.3610 [1 per cell]
Li6 0.4067 0.4100 0.9749 [1 per cell]
Li7 0.5010 0.5010 0.4997 [1 per cell]
Li8 0.5158 0.1452 0.6130 [1 per cell]
Li9 0.5299 0.7875 0.7267 [1 per cell]
Li10 0.6194 0.8800 0.2493 [1 per cell]
Li11 0.7649 0.3947 0.8633 [1 per cell]
Li12 0.9083 0.9086 0.4767 [1 per cell]
Mn1 0.0863 0.7235 0.8973 [1 per cell]
Mn2 0.3398 0.9677 0.1479 [1 per cell]
V1 0.1888 0.8254 0.5759 [1 per cell]
V2 0.4472 0.0684 0.8260 [1 per cell]
V3 0.5846 0.2199 0.4003 [1 per cell]
V4 0.6875 0.3283 0.0758 [1 per cell]
V5 0.8430 0.4630 0.6497 [1 per cell]
V6 0.9472 0.5674 0.3256 [1 per cell]
P1 0.0869 0.3248 0.9864 [1 per cell]
P2 0.1326 0.0625 0.7450 [1 per cell]
P3 0.1838 0.5122 0.4944 [1 per cell]
P4 0.3471 0.2762 0.2313 [1 per cell]
P5 0.3954 0.7279 0.9813 [1 per cell]
P6 0.4427 0.4671 0.7374 [1 per cell]
P7 0.5919 0.8179 0.4881 [1 per cell]
P8 0.6338 0.5617 0.2460 [1 per cell]
P9 0.6812 0.0134 0.9966 [1 per cell]
P10 0.8482 0.7759 0.7324 [1 per cell]
P11 0.8972 0.2259 0.4817 [1 per cell]
P12 0.9394 0.9713 0.2374 [1 per cell]
O1 0.0477 0.0354 0.4767 [1 per cell]
O2 0.0721 0.4777 0.5935 [1 per cell]
O3 0.0741 0.5081 0.9880 [1 per cell]
O4 0.0949 0.9524 0.8447 [1 per cell]
O5 0.1045 0.5286 0.4095 [1 per cell]
O6 0.1212 0.9594 0.2410 [1 per cell]
O7 0.1488 0.9830 0.6602 [1 per cell]
O8 0.1527 0.2103 0.0821 [1 per cell]
O9 0.1568 0.4268 0.2265 [1 per cell]
O10 0.1953 0.6909 0.4781 [1 per cell]
O11 0.2098 0.2485 0.8940 [1 per cell]
O12 0.2161 0.7155 0.9962 [1 per cell]
O13 0.3119 0.0727 0.7290 [1 per cell]
O14 0.3272 0.5334 0.8324 [1 per cell]
O15 0.3358 0.0963 0.2476 [1 per cell]
O16 0.3683 0.5898 0.6444 [1 per cell]
O17 0.3744 0.3611 0.4992 [1 per cell]
O18 0.3758 0.8064 0.0676 [1 per cell]
O19 0.4084 0.8344 0.4853 [1 per cell]
O20 0.4249 0.2589 0.3173 [1 per cell]
O21 0.4310 0.8394 0.8825 [1 per cell]
O22 0.4585 0.2844 0.7327 [1 per cell]
O23 0.4594 0.3113 0.1331 [1 per cell]
O24 0.4840 0.7494 0.2551 [1 per cell]
O25 0.5460 0.5375 0.9767 [1 per cell]
O26 0.5668 0.9778 0.0955 [1 per cell]
O27 0.5758 0.0011 0.4912 [1 per cell]
O28 0.6036 0.0275 0.9112 [1 per cell]
O29 0.6038 0.4438 0.3440 [1 per cell]
O30 0.6266 0.4516 0.7391 [1 per cell]
O31 0.6478 0.4853 0.1601 [1 per cell]
O32 0.6572 0.9262 0.7273 [1 per cell]
O33 0.6636 0.6982 0.5821 [1 per cell]
O34 0.6890 0.1948 0.9787 [1 per cell]
O35 0.7123 0.7461 0.3946 [1 per cell]
O36 0.7185 0.2138 0.4986 [1 per cell]
O37 0.8145 0.5710 0.2281 [1 per cell]
O38 0.8186 0.0413 0.3317 [1 per cell]
O39 0.8368 0.5970 0.7485 [1 per cell]
O40 0.8669 0.0918 0.1440 [1 per cell]
O41 0.8698 0.8653 0.0051 [1 per cell]
O42 0.8816 0.3044 0.5669 [1 per cell]
O43 0.9043 0.3398 0.9822 [1 per cell]
O44 0.9260 0.7618 0.8175 [1 per cell]
O45 0.9318 0.3385 0.3831 [1 per cell]
O46 0.9565 0.7874 0.2350 [1 per cell]
O47 0.9598 0.8101 0.6330 [1 per cell]
O48 0.9830 0.2534 0.7496 [1 per cell]

Values from the calculation:
As for the raw total energy: -7.05 eV/atom. The calculation puts the energy above the most stable polymorph in this dataset at 1.46 eV/f.u. The calculation puts the formation energy at -2.650 eV per atom.

---

# 3
Material: Li6MnV3P6O24
Method: DFT, GGA+U
State: optimized geometry

Cell: 8.7034 8.7673 12.2772 Å, 89.74 89.34 89.89°
Space group P1 (No. 1)
Asymmetric unit:
Li1 0.0000 0.0000 0.0000 [1 per cell]
Li2 0.0010 0.3921 0.9389 [1 per cell]
Li3 0.1350 0.3238 0.5171 [1 per cell]
Li4 0.2128 0.8224 0.3743 [1 per cell]
Li5 0.3421 0.8938 0.9530 [1 per cell]
Li6 0.3436 0.5025 0.8933 [1 per cell]
Li7 0.5015 0.3018 0.4387 [1 per cell]
Li8 0.5046 0.6885 0.5004 [1 per cell]
Li9 0.6300 0.3716 0.0194 [1 per cell]
Li10 0.7140 0.8701 0.8738 [1 per cell]
Li11 0.8398 0.7987 0.4556 [1 per cell]
Li12 0.8444 0.1911 0.3950 [1 per cell]
Mn1 0.1760 0.1374 0.3061 [1 per cell]
Mn2 0.6756 0.6296 0.3031 [1 per cell]
V1 0.1692 0.5636 0.0868 [1 per cell]
V2 0.1701 0.6381 0.5848 [1 per cell]
V3 0.1753 0.0649 0.8057 [1 per cell]
V4 0.6680 0.0548 0.0850 [1 per cell]
V5 0.6694 0.1290 0.5866 [1 per cell]
V6 0.6762 0.5547 0.8078 [1 per cell]
P1 0.0283 0.7079 0.8437 [1 per cell]
P2 0.0302 0.9985 0.5451 [1 per cell]
P3 0.3152 0.2074 0.0514 [1 per cell]
P4 0.3225 0.5015 0.3460 [1 per cell]
P5 0.3836 0.3479 0.6902 [1 per cell]
P6 0.4616 0.8448 0.7024 [1 per cell]
P7 0.5256 0.6962 0.0445 [1 per cell]
P8 0.5269 0.9853 0.3434 [1 per cell]
P9 0.8163 0.1951 0.8460 [1 per cell]
P10 0.8187 0.4843 0.5524 [1 per cell]
P11 0.8835 0.3435 0.1910 [1 per cell]
P12 0.9577 0.8415 0.2021 [1 per cell]
O1 0.0311 0.7307 0.1198 [1 per cell]
O2 0.0710 0.6815 0.7245 [1 per cell]
O3 0.0716 0.8744 0.8775 [1 per cell]
O4 0.0769 0.1214 0.4565 [1 per cell]
O5 0.0802 0.8362 0.5087 [1 per cell]
O6 0.0834 0.9192 0.2681 [1 per cell]
O7 0.0952 0.0470 0.6531 [1 per cell]
O8 0.1160 0.5875 0.9146 [1 per cell]
O9 0.2264 0.0877 0.9822 [1 per cell]
O10 0.2548 0.4299 0.6272 [1 per cell]
O11 0.2549 0.5467 0.2376 [1 per cell]
O12 0.2726 0.3738 0.0166 [1 per cell]
O13 0.2765 0.3409 0.3871 [1 per cell]
O14 0.2773 0.6245 0.4333 [1 per cell]
O15 0.2799 0.1835 0.1729 [1 per cell]
O16 0.3080 0.2355 0.7714 [1 per cell]
O17 0.3464 0.7032 0.0419 [1 per cell]
O18 0.3503 0.0028 0.3622 [1 per cell]
O19 0.3575 0.9210 0.7900 [1 per cell]
O20 0.3724 0.7321 0.6303 [1 per cell]
O21 0.4727 0.4603 0.7626 [1 per cell]
O22 0.4875 0.2715 0.6027 [1 per cell]
O23 0.4902 0.1898 0.0301 [1 per cell]
O24 0.5034 0.4959 0.3475 [1 per cell]
O25 0.5375 0.9568 0.6216 [1 per cell]
O26 0.5691 0.5739 0.9560 [1 per cell]
O27 0.5696 0.0115 0.2239 [1 per cell]
O28 0.5700 0.8194 0.3787 [1 per cell]
O29 0.5767 0.8588 0.0072 [1 per cell]
O30 0.5909 0.7624 0.7654 [1 per cell]
O31 0.5931 0.6453 0.1507 [1 per cell]
O32 0.6135 0.1053 0.4139 [1 per cell]
O33 0.7278 0.6062 0.4872 [1 per cell]
O34 0.7504 0.1467 0.7385 [1 per cell]
O35 0.7547 0.2608 0.1282 [1 per cell]
O36 0.7647 0.3563 0.8851 [1 per cell]
O37 0.7727 0.0721 0.9345 [1 per cell]
O38 0.7757 0.3185 0.5165 [1 per cell]
O39 0.7819 0.5033 0.6738 [1 per cell]
O40 0.8109 0.4539 0.2737 [1 per cell]
O41 0.8510 0.9942 0.5414 [1 per cell]
O42 0.8518 0.7640 0.2903 [1 per cell]
O43 0.8534 0.6905 0.8644 [1 per cell]
O44 0.8692 0.9567 0.1306 [1 per cell]
O45 0.9741 0.2288 0.2639 [1 per cell]
O46 0.9872 0.4187 0.1028 [1 per cell]
O47 0.9935 0.5033 0.5296 [1 per cell]
O48 0.9955 0.2017 0.8485 [1 per cell]

Values from the calculation:
As for the raw total energy: -7.08 eV/atom. The calculation puts the energy above the most stable polymorph in this dataset at 0.05 eV/f.u. The calculation puts the formation energy at -2.685 eV per atom.

---

Question: Among the records above, which one has the highest energy above the most stable polymorph in this dataset?
Answer: number 2

---

Question: Look up the raw total energy of the second one.
Answer: -7.05 eV/atom

---

Question: Among the records above, which one has the highest raw total energy?
Answer: number 2